# K2Co2Se3O9 PBE+U relaxed
# Calculated volume, Å³/cell: 484
# ρ, g/cm3: 4.0
# Energy, eV/atom: -5.39
# Energy of formation from the pure elements, kcal/mol of atoms: -34.995
data_K2Co2Se3O9
_cell_length_a 5.5707
_cell_length_b 5.5707
_cell_length_c 18.0056
_cell_angle_alpha 90.00
_cell_angle_beta 90.00
_cell_angle_gamma 120.00
_symmetry_space_group_name_H-M 'P 63 m c'
_symmetry_Int_Tables_number 186
_symmetry_space_group_name_Hall 'P 6c -2c'
loop_
_atom_site_label
_atom_site_type_symbol
_atom_site_fract_x
_atom_site_fract_y
_atom_site_fract_z
K1 K 0.3333 0.6667 0.0000
K2 K 0.3333 0.6667 0.4300
Co1 Co 0.3333 0.6667 0.6392
Co2 Co 0.3333 0.6667 0.8060
Se1 Se 0.0000 0.0000 0.1085
Se2 Se 0.0000 0.0000 0.3297
Se3 Se 0.3333 0.6667 0.1845
O1 O 0.0055 0.5027 0.2224
O2 O 0.1591 0.3183 0.8742
O3 O 0.1605 0.3210 0.5655